## w
Density functional theory data (PBE-GGA) for a relaxed Cs2HgC2SI4O crystal.

The structure in POSCAR format:
```
Cs2HgC2SI4O
1.0
8.597 0.000 0.000
2.355 9.707 0.000
3.335 0.881 11.215
Cs Hg C S I O
4 2 4 2 8 2
Direct
0.830 0.325 0.084 Cs
0.170 0.675 0.916 Cs
0.264 0.717 0.389 Cs
0.736 0.283 0.611 Cs
0.280 0.285 0.233 Hg
0.720 0.715 0.767 Hg
0.293 0.035 0.772 C
0.707 0.965 0.228 C
0.450 0.993 0.742 C
0.550 0.007 0.258 C
0.102 0.113 0.778 S
0.898 0.887 0.222 S
0.053 0.108 0.333 I
0.947 0.892 0.667 I
0.982 0.543 0.274 I
0.018 0.457 0.726 I
0.415 0.305 0.986 I
0.585 0.695 0.014 I
0.472 0.330 0.378 I
0.528 0.670 0.622 I
0.995 0.118 0.902 O
0.005 0.882 0.098 O
```

Output
space group: P-1
spin magnetization: 0.000 μB/f.u.

## x
Density functional theory data (PBE-GGA) for a relaxed Cs2HgC2SI4O crystal.

The structure in POSCAR format:
```
Cs2HgC2SI4O
1.0
-6.051 1.370 5.782
2.489 -7.459 9.075
4.186 6.469 6.364
Cs Hg C S I O
4 2 4 2 8 2
Direct
0.174 0.920 0.697 Cs
0.826 0.080 0.303 Cs
0.707 0.618 0.260 Cs
0.293 0.382 0.740 Cs
0.627 0.769 0.821 Hg
0.373 0.231 0.179 Hg
0.710 0.237 0.919 C
0.290 0.763 0.081 C
0.572 0.240 0.999 C
0.428 0.760 0.001 C
0.913 0.234 0.857 S
0.087 0.766 0.143 S
0.962 0.665 0.851 I
0.038 0.335 0.149 I
0.072 0.726 0.413 I
0.928 0.274 0.587 I
0.618 0.998 0.688 I
0.382 0.002 0.312 I
0.542 0.629 0.647 I
0.458 0.371 0.353 I
0.013 0.113 0.884 O
0.987 0.887 0.116 O
```

Output
space group: P-1
spin magnetization: 0.002 μB/f.u.

It turns out x is the most stable, with the second structure 8.3 kJ/mol of atoms higher.

## w
Density functional theory data (PBE-GGA) for a relaxed CsMg14C crystal.

The structure in POSCAR format:
```
CsMg14C
1.0
6.666 0.237 0.000
-3.128 5.418 0.000
0.000 0.000 10.513
Cs Mg C
1 14 1
Direct
0.099 0.300 0.125 Cs
0.173 0.336 0.625 Mg
0.154 0.827 0.625 Mg
0.603 0.302 0.125 Mg
0.655 0.334 0.625 Mg
0.603 0.801 0.125 Mg
0.655 0.821 0.625 Mg
0.344 0.161 0.382 Mg
0.344 0.161 0.868 Mg
0.344 0.682 0.382 Mg
0.344 0.682 0.868 Mg
0.824 0.162 0.403 Mg
0.824 0.162 0.847 Mg
0.840 0.670 0.358 Mg
0.840 0.670 0.892 Mg
0.355 0.927 0.125 C
```

Output
space group: Amm2
spin magnetization: 0.000 μB/f.u.

## x
Density functional theory data (PBE-GGA) for a relaxed CsMg14C crystal.

The structure in POSCAR format:
```
CsMg14C
1.0
-3.305 -0.128 -5.415
5.323 -3.410 0.550
-5.838 -8.506 3.764
Cs Mg C
1 14 1
Direct
0.167 0.333 0.125 Cs
0.172 0.836 0.125 Mg
0.152 0.826 0.625 Mg
0.664 0.328 0.125 Mg
0.674 0.348 0.625 Mg
0.664 0.836 0.125 Mg
0.674 0.826 0.625 Mg
0.326 0.174 0.417 Mg
0.326 0.174 0.833 Mg
0.326 0.653 0.417 Mg
0.326 0.653 0.833 Mg
0.847 0.174 0.417 Mg
0.847 0.174 0.833 Mg
0.833 0.667 0.365 Mg
0.833 0.667 0.885 Mg
0.167 0.333 0.625 C
```

Output
space group: P-6m2
spin magnetization: 0.034 μB/f.u.

It turns out w is the most stable, with the second structure 10.5 kJ/mol of atoms higher.

## w
Density functional theory data (PBE-GGA) for a relaxed Cs4CO4 crystal.

The structure in POSCAR format:
```
Cs4CO4
1.0
2.589 6.797 0.000
-2.589 6.797 0.000
0.000 2.327 7.252
Cs C O
4 1 4
Direct
0.455 0.773 0.182 Cs
0.802 0.489 0.634 Cs
0.511 0.198 0.366 Cs
0.227 0.545 0.818 Cs
0.998 0.002 0.500 C
0.230 0.912 0.560 O
0.782 0.101 0.650 O
0.088 0.770 0.440 O
0.899 0.218 0.350 O
```

Output
space group: C2
spin magnetization: 0.001 μB/f.u.

## x
Density functional theory data (PBE-GGA) for a relaxed Cs4CO4 crystal.

The structure in POSCAR format:
```
Cs4CO4
1.0
-4.885 4.885 2.978
4.885 -4.885 2.978
4.885 4.885 -2.978
Cs C O
4 1 4
Direct
0.337 0.337 0.333 Cs
0.663 0.996 0.000 Cs
0.004 0.004 0.667 Cs
0.996 0.663 0.000 Cs
0.500 0.500 0.000 C
0.449 0.277 0.000 O
0.551 0.551 0.828 O
0.723 0.723 0.172 O
0.277 0.449 0.000 O
```

Output
space group: I-42m
spin magnetization: 0.001 μB/f.u.

## y
Density functional theory data (PBE-GGA) for a relaxed Cs4CO4 crystal.

The structure in POSCAR format:
```
Cs4CO4
1.0
-0.061 -3.213 5.349
4.898 -3.339 -1.949
3.866 4.180 2.555
Cs C O
4 1 4
Direct
0.771 0.229 0.229 Cs
0.229 0.771 0.229 Cs
0.771 0.771 0.771 Cs
0.229 0.229 0.771 Cs
0.500 0.500 0.500 C
0.366 0.366 0.366 O
0.634 0.634 0.366 O
0.366 0.634 0.634 O
0.634 0.366 0.634 O
```

Output
space group: P-43m
spin magnetization: 0.001 μB/f.u.

It turns out w is the most stable, with the second structure 2.2 kJ/mol of atoms higher.

## w
Density functional theory data (PBE-GGA) for a relaxed Na2FeCuC6N6 crystal.

The structure in POSCAR format:
```
Na2FeCuC6N6
1.0
6.925 0.644 2.033
1.667 0.679 7.018
3.272 -5.442 3.490
Na Fe Cu C N
2 1 1 6 6
Direct
0.250 0.250 0.250 Na
0.750 0.750 0.750 Na
0.000 0.000 0.000 Fe
0.500 0.500 0.500 Cu
0.182 0.182 0.818 C
0.818 0.818 0.182 C
0.818 0.182 0.818 C
0.182 0.818 0.818 C
0.182 0.818 0.182 C
0.818 0.182 0.182 C
0.297 0.703 0.703 N
0.703 0.297 0.703 N
0.703 0.703 0.297 N
0.297 0.297 0.703 N
0.297 0.703 0.297 N
0.703 0.297 0.297 N
```

Output
space group: Fm-3m
spin magnetization: 0.986 μB/f.u.

## x
Density functional theory data (PBE-GGA) for a relaxed Na2FeCuC6N6 crystal.

The structure in POSCAR format:
```
Na2FeCuC6N6
1.0
7.730 0.000 -1.516
0.000 5.838 0.000
-1.151 0.000 7.379
Na Fe Cu C N
2 1 1 6 6
Direct
0.500 0.000 0.500 Na
0.000 0.000 0.500 Na
0.500 0.500 0.000 Fe
0.000 0.000 0.000 Cu
0.676 0.300 0.975 C
0.676 0.700 0.975 C
0.324 0.700 0.025 C
0.324 0.300 0.025 C
0.381 0.500 0.735 C
0.619 0.500 0.265 C
0.808 0.218 0.960 N
0.808 0.782 0.960 N
0.192 0.782 0.040 N
0.192 0.218 0.040 N
0.299 0.500 0.569 N
0.701 0.500 0.431 N
```

Output
space group: P2/m
spin magnetization: 0.999 μB/f.u.

It turns out w is the most stable, with the second structure 9.4 kJ/mol of atoms higher.

## w
Density functional theory data (PBE-GGA) for a relaxed CuH14C4N4O8 crystal.

The structure in POSCAR format:
```
CuH14C4N4O8
1.0
-0.795 7.351 -1.985
0.270 -2.193 -8.230
-9.072 -1.225 -0.903
Cu H C N O
2 28 8 8 16
Direct
0.000 0.000 0.000 Cu
0.500 0.000 0.500 Cu
0.991 0.782 0.370 H
0.863 0.470 0.325 H
0.320 0.711 0.956 H
0.363 0.530 0.175 H
0.084 0.619 0.092 H
0.840 0.739 0.572 H
0.009 0.218 0.630 H
0.027 0.656 0.931 H
0.322 0.929 0.795 H
0.678 0.071 0.205 H
0.416 0.619 0.592 H
0.660 0.739 0.072 H
0.180 0.711 0.456 H
0.973 0.344 0.069 H
0.822 0.071 0.705 H
0.820 0.289 0.544 H
0.160 0.261 0.428 H
0.473 0.656 0.431 H
0.637 0.470 0.825 H
0.916 0.381 0.908 H
0.509 0.782 0.870 H
0.137 0.530 0.675 H
0.178 0.929 0.295 H
0.491 0.218 0.130 H
0.527 0.344 0.569 H
0.584 0.381 0.408 H
0.680 0.289 0.044 H
0.340 0.261 0.928 H
0.508 0.413 0.814 C
0.008 0.587 0.686 C
0.258 0.021 0.235 C
0.492 0.587 0.186 C
0.742 0.979 0.765 C
0.242 0.021 0.735 C
0.992 0.413 0.314 C
0.758 0.979 0.265 C
0.547 0.306 0.062 N
0.959 0.685 0.572 N
0.953 0.306 0.562 N
0.541 0.685 0.072 N
0.041 0.315 0.428 N
0.047 0.694 0.438 N
0.453 0.694 0.938 N
0.459 0.315 0.928 N
0.593 0.297 0.491 O
0.907 0.297 0.991 O
0.582 0.567 0.302 O
0.093 0.703 0.009 O
0.284 0.067 0.604 O
0.082 0.433 0.198 O
0.784 0.933 0.896 O
0.112 0.076 0.799 O
0.388 0.076 0.299 O
0.612 0.924 0.701 O
0.918 0.567 0.802 O
0.418 0.433 0.698 O
0.716 0.933 0.396 O
0.407 0.703 0.509 O
0.888 0.924 0.201 O
0.216 0.067 0.104 O
```

Output
space group: P2_1/c
spin magnetization: 1.000 μB/f.u.

## x
Density functional theory data (PBE-GGA) for a relaxed CuH14C4N4O8 crystal.

The structure in POSCAR format:
```
CuH14C4N4O8
1.0
-0.280 0.000 8.030
9.088 0.000 -1.136
0.000 8.329 0.000
Cu H C N O
2 28 8 8 16
Direct
0.500 0.000 0.500 Cu
0.000 0.000 0.000 Cu
0.967 0.714 0.244 H
0.533 0.286 0.744 H
0.033 0.286 0.756 H
0.467 0.714 0.256 H
0.808 0.562 0.220 H
0.692 0.438 0.720 H
0.192 0.438 0.780 H
0.308 0.562 0.280 H
0.060 0.792 0.494 H
0.440 0.208 0.994 H
0.940 0.208 0.506 H
0.560 0.792 0.006 H
0.955 0.717 0.668 H
0.545 0.283 0.168 H
0.045 0.283 0.332 H
0.455 0.717 0.832 H
0.619 0.367 0.433 H
0.881 0.633 0.933 H
0.381 0.633 0.567 H
0.119 0.367 0.067 H
0.426 0.335 0.423 H
0.074 0.665 0.923 H
0.574 0.665 0.577 H
0.926 0.335 0.077 H
0.827 0.067 0.299 H
0.673 0.933 0.799 H
0.173 0.933 0.701 H
0.327 0.067 0.201 H
0.735 0.987 0.233 C
0.765 0.013 0.733 C
0.265 0.013 0.767 C
0.235 0.987 0.267 C
0.855 0.631 0.455 C
0.645 0.369 0.955 C
0.145 0.369 0.545 C
0.355 0.631 0.045 C
0.882 0.633 0.295 N
0.618 0.367 0.795 N
0.118 0.367 0.705 N
0.382 0.633 0.205 N
0.957 0.730 0.545 N
0.543 0.270 0.045 N
0.043 0.270 0.455 N
0.457 0.730 0.955 N
0.594 0.938 0.297 O
0.906 0.062 0.797 O
0.406 0.062 0.703 O
0.094 0.938 0.203 O
0.773 0.945 0.094 O
0.727 0.055 0.594 O
0.227 0.055 0.906 O
0.273 0.945 0.406 O
0.736 0.541 0.519 O
0.764 0.459 0.019 O
0.264 0.459 0.481 O
0.236 0.541 0.981 O
0.527 0.288 0.400 O
0.973 0.712 0.900 O
0.473 0.712 0.600 O
0.027 0.288 0.100 O
```

Output
space group: P2_1/c
spin magnetization: 0.000 μB/f.u.

It turns out x is the most stable, with the second structure 14.5 kJ/mol of atoms higher.